# 1
# PBE Na21Mg10Nb2P15S3O72, optimized geometry
# space group: No. 1
# VASP energy: -798.5 eV/f.u.
# ΔE_f: -2.72 eV per atom
data_Na21Mg10Nb2P15S3O72
_chemical_formula_sum 'Na21 Mg10 Nb2 P15 S3 O72'
_cell_length_a 8.9914
_cell_length_b 9.0018
_cell_length_c 22.1547
_cell_angle_alpha 89.86
_cell_angle_beta 89.91
_cell_angle_gamma 120.06
_symmetry_space_group_name_H-M 'P 1'
_symmetry_Int_Tables_number 1
_symmetry_space_group_name_Hall 'P 1'
loop_
_atom_site_label
_atom_site_type_symbol
_atom_site_fract_x
_atom_site_fract_y
_atom_site_fract_z
_atom_site_occupancy
S1 S 0.9591 0.6257 0.0821 1
O1 O 0.5193 0.8361 0.7590 1
P1 P 0.0384 0.3710 0.9188 1
O2 O 0.1816 0.2219 0.6954 1
O3 O 0.6934 0.5497 0.5274 1
P2 P 0.3319 0.9586 0.9191 1
O4 O 0.1337 0.4908 0.8619 1
O5 O 0.4985 0.1356 0.9198 1
O6 O 0.1864 0.0142 0.5891 1
O7 O 0.0393 0.2241 0.1936 1
O8 O 0.6435 0.1264 0.1347 1
O9 O 0.1361 0.6488 0.0776 1
O10 O 0.8082 0.8293 0.9102 1
O11 O 0.1726 0.9782 0.9113 1
O12 O 0.5460 0.8481 0.4751 1
P3 P 0.7087 0.7064 0.2503 1
O13 O 0.3508 0.4963 0.0784 1
O14 O 0.1498 0.4547 0.9740 1
O15 O 0.3562 0.4915 0.3615 1
O16 O 0.7831 0.9685 0.6938 1
Na1 Na 0.3316 0.0370 0.4171 1
O17 O 0.7811 0.8113 0.1919 1
Na2 Na 0.0405 0.3321 0.0877 1
Na3 Na 0.3313 0.2947 0.9176 1
O18 O 0.9777 0.7862 0.8093 1
S2 S 0.6670 0.0411 0.0824 1
Mg1 Mg 0.0034 0.0040 0.6513 1
O19 O 0.9757 0.7992 0.0873 1
O20 O 0.5090 0.8668 0.0778 1
O21 O 0.8618 0.5031 0.4200 1
P4 P 0.7098 0.0011 0.7505 1
O22 O 0.1468 0.4936 0.5789 1
P5 P 0.0390 0.6690 0.4187 1
O23 O 0.8609 0.3593 0.9207 1
P6 P 0.2960 0.2924 0.7511 1
Mg2 Mg 0.6666 0.3356 0.1886 1
Na4 Na 0.9641 0.2958 0.4166 1
O24 O 0.8519 0.3078 0.5270 1
O25 O 0.1388 0.6443 0.3634 1
Na5 Na 0.3651 0.0098 0.7426 1
Mg3 Mg 0.3286 0.6669 0.5159 1
O26 O 0.5487 0.6991 0.9750 1
Na6 Na 0.3007 0.9762 0.0869 1
Mg4 Mg 0.0000 0.9984 0.8484 1
O27 O 0.1886 0.9654 0.1918 1
O28 O 0.1676 0.6869 0.7590 1
O29 O 0.2143 0.1866 0.8083 1
O30 O 0.4520 0.3049 0.0252 1
O31 O 0.1486 0.6982 0.4747 1
Na7 Na 0.3332 0.6688 0.1685 1
Mg5 Mg 0.3338 0.6614 0.0154 1
P7 P 0.9623 0.3330 0.5835 1
O32 O 0.8228 0.8003 0.5891 1
O33 O 0.6405 0.5167 0.6360 1
Mg6 Mg 0.9980 0.9996 0.3478 1
O34 O 0.4531 0.1507 0.5273 1
O35 O 0.9786 0.1907 0.3074 1
Nb1 Nb 0.3365 0.6663 0.8129 1
O36 O 0.5045 0.8580 0.3637 1
Mg7 Mg 0.6601 0.3315 0.9814 1
O37 O 0.2097 0.0266 0.3055 1
O38 O 0.3058 0.4571 0.4740 1
O39 O 0.9787 0.1685 0.5887 1
Na8 Na 0.3638 0.3550 0.2481 1
P8 P 0.6301 0.6702 0.9192 1
Na9 Na 0.3353 0.6668 0.6594 1
P9 P 0.9951 0.2931 0.2507 1
O40 O 0.0366 0.8180 0.6955 1
O41 O 0.4800 0.1214 0.6408 1
Na10 Na 0.6672 0.9772 0.5823 1
O42 O 0.3120 0.4783 0.7599 1
Na11 Na 0.6762 0.3330 0.3291 1
P10 P 0.3706 0.0380 0.5838 1
Na12 Na 0.9884 0.3547 0.7425 1
O43 O 0.6790 0.1555 0.7458 1
O44 O 0.8753 0.5151 0.1344 1
Na13 Na 0.2941 0.3263 0.5809 1
Na14 Na 0.6658 0.3422 0.8289 1
O45 O 0.0208 0.8286 0.4096 1
O46 O 0.1869 0.1697 0.0880 1
O47 O 0.3048 0.8467 0.9745 1
O48 O 0.6708 0.5197 0.2453 1
O49 O 0.4842 0.3597 0.1382 1
O50 O 0.0199 0.1927 0.9107 1
O51 O 0.6382 0.1346 0.4193 1
O52 O 0.8065 0.9777 0.4103 1
Na15 Na 0.7047 0.0358 0.9144 1
Na16 Na 0.7039 0.6683 0.4133 1
O53 O 0.8466 0.5191 0.7456 1
P11 P 0.9942 0.7047 0.7515 1
Mg8 Mg 0.6674 0.3333 0.6832 1
Na17 Na 0.0397 0.6994 0.5832 1
Na18 Na 0.9651 0.6688 0.9140 1
O54 O 0.8437 0.3227 0.2430 1
S3 S 0.6672 0.6256 0.5831 1
P12 P 0.3330 0.3732 0.4186 1
Mg9 Mg 0.0043 0.0041 0.1580 1
O55 O 0.6947 0.1438 0.0262 1
Nb2 Nb 0.3330 0.6704 0.3128 1
P13 P 0.3705 0.3325 0.0829 1
O56 O 0.8584 0.5482 0.0260 1
O57 O 0.4747 0.1598 0.2438 1
P14 P 0.2943 0.0013 0.2498 1
O58 O 0.5054 0.6453 0.8639 1
O59 O 0.4992 0.3622 0.4200 1
P15 P 0.6279 0.9581 0.4190 1
O60 O 0.4756 0.3156 0.7439 1
O61 O 0.8806 0.3627 0.6404 1
O62 O 0.8111 0.7902 0.3066 1
O63 O 0.3548 0.8571 0.5789 1
O64 O 0.3148 0.8357 0.2587 1
O65 O 0.1691 0.4795 0.2584 1
O66 O 0.8204 0.0185 0.0877 1
O67 O 0.5121 0.6458 0.5784 1
Na19 Na 0.6607 0.6917 0.0893 1
O68 O 0.8154 0.0267 0.8075 1
O69 O 0.6414 0.5046 0.9200 1
Na20 Na 0.0057 0.0067 0.4987 1
O70 O 0.1729 0.1940 0.4109 1
O71 O 0.3551 0.8627 0.8623 1
Mg10 Mg 0.6651 0.3259 0.4822 1
Na21 Na 0.0072 0.0062 0.9992 1
O72 O 0.5180 0.6846 0.2576 1



# 2
# PBE Na9Mg8Nb4P9S9O72, optimized geometry
# space group: No. 1
# VASP energy: -743.8 eV/f.u.
# ΔE_f: -2.58 eV per atom
data_Na9Mg8Nb4P9S9O72
_chemical_formula_sum 'Na9 Mg8 Nb4 P9 S9 O72'
_cell_length_a 8.7859
_cell_length_b 8.7687
_cell_length_c 22.6499
_cell_angle_alpha 90.12
_cell_angle_beta 89.98
_cell_angle_gamma 120.04
_symmetry_space_group_name_H-M 'P 1'
_symmetry_Int_Tables_number 1
_symmetry_space_group_name_Hall 'P 1'
loop_
_atom_site_label
_atom_site_type_symbol
_atom_site_fract_x
_atom_site_fract_y
_atom_site_fract_z
_atom_site_occupancy
O1 O 0.5261 0.6892 0.2583 1
O2 O 0.2014 0.1738 0.0891 1
O3 O 0.1343 0.4894 0.5768 1
O4 O 0.1362 0.4975 0.8633 1
O5 O 0.5458 0.8510 0.4750 1
S1 S 0.6659 0.6239 0.5846 1
Mg1 Mg 0.6708 0.3335 0.1843 1
S2 S 0.2923 0.0040 0.2499 1
O6 O 0.1938 0.0285 0.5868 1
Mg2 Mg 0.9996 0.9984 0.3539 1
O7 O 0.5026 0.1420 0.9238 1
O8 O 0.7824 0.9697 0.6947 1
Nb1 Nb 0.3311 0.6662 0.3168 1
O9 O 0.9644 0.1694 0.5884 1
O10 O 0.5005 0.8590 0.0765 1
Nb2 Nb 0.3357 0.6683 0.8167 1
O11 O 0.8074 0.8256 0.9073 1
Na1 Na 0.6610 0.9669 0.5832 1
P1 P 0.9599 0.6273 0.0856 1
O12 O 0.0313 0.2185 0.1952 1
O13 O 0.6299 0.1256 0.1378 1
O14 O 0.3101 0.4735 0.7579 1
Nb3 Nb 0.6787 0.3373 0.9773 1
O15 O 0.8768 0.3624 0.6370 1
Na2 Na 0.3428 0.6728 0.1638 1
O16 O 0.6430 0.5164 0.6366 1
P2 P 0.0427 0.6712 0.4196 1
S3 S 0.7096 0.7069 0.2509 1
P3 P 0.6285 0.9528 0.4196 1
O17 O 0.5277 0.8380 0.7571 1
O18 O 0.8235 0.8027 0.5884 1
O19 O 0.1743 0.1919 0.4075 1
O20 O 0.1618 0.6885 0.7579 1
O21 O 0.9832 0.8124 0.0876 1
O22 O 0.0176 0.8256 0.4072 1
O23 O 0.5033 0.6373 0.8622 1
Mg3 Mg 0.3268 0.6665 0.5171 1
O24 O 0.4747 0.1629 0.5285 1
Nb4 Nb 0.6556 0.3265 0.4770 1
O25 O 0.8388 0.5307 0.0284 1
O26 O 0.6861 0.1565 0.7444 1
O27 O 0.5025 0.8660 0.3636 1
O28 O 0.6923 0.5379 0.5300 1
O29 O 0.1844 0.2173 0.6970 1
O30 O 0.8722 0.5070 0.1376 1
O31 O 0.8162 0.0228 0.8020 1
O32 O 0.1536 0.6942 0.4722 1
Na3 Na 0.3000 0.9612 0.0826 1
Na4 Na 0.9868 0.9875 0.9954 1
O33 O 0.1730 0.9818 0.9075 1
P4 P 0.3710 0.0376 0.5859 1
S4 S 0.7124 0.0034 0.7495 1
O34 O 0.3110 0.8382 0.2574 1
O35 O 0.3053 0.8521 0.9744 1
O36 O 0.5023 0.3651 0.4235 1
O37 O 0.7808 0.8136 0.1974 1
O38 O 0.6391 0.1403 0.4236 1
Mg4 Mg 0.9846 0.9869 0.1482 1
O39 O 0.2075 0.0231 0.3022 1
O40 O 0.8092 0.9825 0.4077 1
O41 O 0.3531 0.4895 0.0774 1
O42 O 0.4849 0.3619 0.1371 1
P5 P 0.3245 0.3741 0.4193 1
Mg5 Mg 0.6628 0.3302 0.6848 1
Na5 Na 0.0132 0.0007 0.4963 1
O43 O 0.8582 0.4963 0.4246 1
O44 O 0.0185 0.1907 0.9078 1
Na6 Na 0.3239 0.6634 0.6635 1
O45 O 0.1406 0.6405 0.0768 1
O46 O 0.3632 0.8659 0.8635 1
S5 S 0.2913 0.2889 0.7505 1
Mg6 Mg 0.0003 0.9986 0.8538 1
O47 O 0.2102 0.1860 0.8034 1
S6 S 0.3786 0.3366 0.0846 1
O48 O 0.4604 0.3050 0.0305 1
P6 P 0.0493 0.3726 0.9191 1
O49 O 0.1490 0.4554 0.9751 1
P7 P 0.6273 0.6717 0.9193 1
Na7 Na 0.6684 0.3354 0.3298 1
O50 O 0.4956 0.1282 0.6372 1
O51 O 0.1632 0.4728 0.2574 1
O52 O 0.8442 0.5277 0.7435 1
O53 O 0.1886 0.9704 0.1951 1
O54 O 0.3075 0.4623 0.4730 1
O55 O 0.3628 0.4968 0.3623 1
P8 P 0.3277 0.9575 0.9196 1
O56 O 0.6820 0.5274 0.2442 1
O57 O 0.6356 0.4957 0.9235 1
S7 S 0.9965 0.7074 0.7503 1
O58 O 0.8390 0.0383 0.0875 1
Mg7 Mg 0.3391 0.6722 0.0166 1
O59 O 0.4711 0.3174 0.7441 1
O60 O 0.6917 0.1647 0.0288 1
Na8 Na 0.6651 0.3337 0.8303 1
O61 O 0.9749 0.7887 0.8034 1
O62 O 0.5091 0.6431 0.5773 1
O63 O 0.8429 0.3076 0.5304 1
O64 O 0.8629 0.3637 0.9220 1
S8 S 0.9974 0.2883 0.2501 1
O65 O 0.8135 0.7892 0.3036 1
Mg8 Mg 0.0147 0.0018 0.6483 1
S9 S 0.9591 0.3364 0.5846 1
P9 P 0.6645 0.0386 0.0855 1
O66 O 0.8452 0.3155 0.2450 1
O67 O 0.5389 0.6924 0.9723 1
O68 O 0.0312 0.8143 0.6969 1
O69 O 0.4714 0.1570 0.2445 1
O70 O 0.3630 0.8605 0.5764 1
Na9 Na 0.0307 0.3372 0.0830 1
O71 O 0.9780 0.1841 0.3023 1
O72 O 0.1329 0.6359 0.3624 1



# 3
# PBE Na3Mg2Nb10Si3P15O72, optimized geometry
# space group: No. 1
# VASP energy: -818.8 eV/f.u.
# ΔE_f: -2.92 eV per atom
data_Na3Mg2Nb10Si3P15O72
_chemical_formula_sum 'Na3 Mg2 Nb10 Si3 P15 O72'
_cell_length_a 8.8056
_cell_length_b 8.8011
_cell_length_c 22.7373
_cell_angle_alpha 89.89
_cell_angle_beta 90.01
_cell_angle_gamma 120.00
_symmetry_space_group_name_H-M 'P 1'
_symmetry_Int_Tables_number 1
_symmetry_space_group_name_Hall 'P 1'
loop_
_atom_site_label
_atom_site_type_symbol
_atom_site_fract_x
_atom_site_fract_y
_atom_site_fract_z
_atom_site_occupancy
P1 P 0.3385 0.3811 0.4165 1
O1 O 0.1627 0.4677 0.9715 1
O2 O 0.9784 0.1755 0.5964 1
O3 O 0.1661 0.9686 0.9092 1
P2 P 0.2847 0.0018 0.2513 1
P3 P 0.3834 0.0491 0.5807 1
O4 O 0.0333 0.1985 0.9090 1
P4 P 0.6176 0.6619 0.9170 1
O5 O 0.2037 0.0358 0.3054 1
Si1 Si 0.9970 0.7112 0.7496 1
O6 O 0.4576 0.2982 0.0267 1
O7 O 0.3587 0.4954 0.0735 1
O8 O 0.8387 0.2967 0.5282 1
Nb1 Nb 0.6690 0.3356 0.6855 1
O9 O 0.5293 0.8378 0.4718 1
O10 O 0.6399 0.1373 0.4216 1
O11 O 0.1393 0.6438 0.3621 1
O12 O 0.0303 0.1965 0.1927 1
O13 O 0.8237 0.8046 0.5952 1
Nb2 Nb 0.6685 0.3354 0.1883 1
O14 O 0.4595 0.1618 0.5280 1
P5 P 0.6698 0.0510 0.0808 1
O15 O 0.8315 0.0336 0.8052 1
O16 O 0.1685 0.2014 0.4080 1
O17 O 0.3043 0.8376 0.9715 1
O18 O 0.8400 0.8024 0.3084 1
Nb3 Nb 0.3314 0.6661 0.8099 1
O19 O 0.9674 0.8055 0.8076 1
O20 O 0.5346 0.8384 0.7604 1
O21 O 0.5043 0.8624 0.3622 1
O22 O 0.9665 0.1606 0.3080 1
O23 O 0.1685 0.6912 0.7609 1
O24 O 0.3073 0.4698 0.4715 1
O25 O 0.7977 0.9645 0.4094 1
O26 O 0.6397 0.1315 0.1372 1
O27 O 0.1624 0.6915 0.4716 1
O28 O 0.5024 0.6402 0.5746 1
O29 O 0.8018 0.8369 0.9097 1
Mg1 Mg 0.6673 0.3338 0.9793 1
O30 O 0.6370 0.5034 0.6378 1
O31 O 0.1367 0.6395 0.0738 1
O32 O 0.0268 0.8349 0.6931 1
O33 O 0.3580 0.8620 0.5744 1
O34 O 0.5251 0.6958 0.2609 1
P6 P 0.6167 0.9572 0.4166 1
O35 O 0.5043 0.8625 0.0735 1
O36 O 0.8410 0.5440 0.0271 1
Si2 Si 0.7151 0.7136 0.2516 1
O37 O 0.6417 0.5053 0.9208 1
O38 O 0.8285 0.0195 0.0910 1
O39 O 0.4986 0.3631 0.4214 1
O40 O 0.8248 0.5172 0.7418 1
O41 O 0.8244 0.3031 0.2406 1
O42 O 0.4688 0.1636 0.2410 1
O43 O 0.4688 0.3023 0.7423 1
P7 P 0.2858 0.2836 0.7498 1
Na1 Na 0.6667 0.3334 0.3411 1
O44 O 0.8652 0.3616 0.9204 1
P8 P 0.9518 0.3326 0.5806 1
O45 O 0.1657 0.4774 0.2608 1
O46 O 0.7039 0.5427 0.5282 1
P9 P 0.3807 0.3285 0.0806 1
O47 O 0.8655 0.3633 0.6379 1
Si3 Si 0.9978 0.2844 0.2513 1
Nb4 Nb 0.9975 0.0014 0.1471 1
Nb5 Nb 0.3333 0.6658 0.0255 1
O48 O 0.1418 0.4936 0.8616 1
Nb6 Nb 0.3320 0.6663 0.5220 1
O49 O 0.8640 0.5035 0.4216 1
O50 O 0.1373 0.4968 0.5746 1
P10 P 0.9498 0.6203 0.0807 1
P11 P 0.7159 0.0015 0.7499 1
P12 P 0.6656 0.6184 0.5805 1
O51 O 0.5082 0.6479 0.8618 1
Mg2 Mg 0.6673 0.3340 0.4786 1
O52 O 0.8069 0.8326 0.1930 1
O53 O 0.0375 0.8349 0.4085 1
Nb7 Nb 0.9940 0.9980 0.3597 1
O54 O 0.9833 0.8090 0.0917 1
O55 O 0.1728 0.9722 0.1955 1
P13 P 0.0440 0.3809 0.9171 1
O56 O 0.8668 0.5065 0.1374 1
O57 O 0.5323 0.6947 0.9716 1
Na2 Na 0.6667 0.3335 0.8400 1
Nb8 Nb 0.9983 0.9956 0.8564 1
O58 O 0.1993 0.1688 0.8050 1
O59 O 0.4957 0.1328 0.6379 1
O60 O 0.7030 0.1591 0.0268 1
O61 O 0.1924 0.1708 0.0911 1
O62 O 0.4965 0.1358 0.9203 1
Nb9 Nb 0.0017 0.9966 0.6415 1
O63 O 0.3573 0.4971 0.3620 1
P14 P 0.0433 0.6620 0.4163 1
O64 O 0.1974 0.0243 0.5947 1
O65 O 0.1721 0.2018 0.6955 1
O66 O 0.8008 0.9735 0.6957 1
O67 O 0.4923 0.3595 0.1372 1
O68 O 0.3531 0.8593 0.8617 1
P15 P 0.3386 0.9561 0.9170 1
O69 O 0.3091 0.4671 0.7605 1
O70 O 0.6919 0.1628 0.7423 1
Nb10 Nb 0.3329 0.6647 0.3093 1
O71 O 0.3057 0.8405 0.2599 1
Na3 Na 0.0009 0.0010 0.0020 1
O72 O 0.6894 0.5184 0.2407 1